[1]
Crystalline SrMnP2O8 at its relaxed geometry. Source: the Materials Project database, functional PBE with a Hubbard U.

Structure (extended XYZ):
```
24
Lattice="5.745 0.000 0.000 -1.151 6.959 0.000 -1.833 -3.447 8.163" Properties=species:S:1:pos:R:3 pbc="T T T"
Sr 1.051 1.731 0.314
Sr 1.710 1.782 7.849
Mn 0.266 3.078 3.650
Mn 2.495 0.435 4.513
P -0.963 0.904 5.692
P 0.792 5.687 1.939
P 1.970 -2.174 6.224
P 3.724 2.608 2.471
O -1.557 3.683 3.545
O -0.663 1.802 2.426
O -0.298 6.123 0.959
O -0.544 0.414 7.058
O 0.254 1.706 5.088
O 0.748 4.099 2.127
O 0.582 -2.570 6.663
O 1.563 -0.660 3.342
O 1.198 4.172 4.821
O 2.180 6.083 1.500
O 2.014 -0.586 6.036
O 2.507 1.807 3.075
O 3.306 3.098 1.105
O 3.059 -2.610 7.204
O 3.424 1.711 5.737
O 4.319 -0.170 4.618
```

* crystal system: triclinic
* V: 326.4 Å³ per cell
* ΔE_f: -2.6402 eV per atom

=====

[2]
Crystalline SrMn2P2O8 at its relaxed geometry. Source: the Materials Project database, functional PBE with a Hubbard U.

Structure (extended XYZ):
```
52
Lattice="8.979 0.000 0.000 0.051 9.209 0.000 0.104 3.295 8.613" Properties=species:S:1:pos:R:3 pbc="T T T"
Sr 2.227 2.879 2.657
Sr 2.372 8.570 7.673
Sr 6.762 3.935 0.940
Sr 6.908 9.626 5.956
Mn 1.077 8.453 4.157
Mn 1.998 8.599 0.955
Mn 2.433 5.493 5.370
Mn 3.926 2.533 6.441
Mn 5.209 9.972 2.172
Mn 6.701 7.012 3.243
Mn 7.137 3.906 7.658
Mn 8.057 4.052 4.455
P 0.715 5.799 2.370
P 0.848 11.218 6.321
P 3.967 5.214 8.352
P 4.032 8.686 4.771
P 5.103 3.819 3.842
P 5.168 7.291 0.261
P 8.286 1.286 2.291
P 8.419 6.706 6.243
O 0.730 9.731 5.853
O 0.766 9.843 2.533
O 0.879 5.087 3.780
O 0.942 6.495 6.544
O 1.146 11.198 7.833
O 1.361 4.882 1.319
O 1.456 7.170 2.449
O 1.895 2.746 5.505
O 2.906 7.650 5.101
O 3.108 1.159 0.898
O 3.577 4.587 6.980
O 3.592 9.497 3.526
O 3.636 6.689 8.431
O 3.748 10.839 8.583
O 3.728 4.489 4.028
O 4.164 9.629 6.009
O 4.970 2.876 2.604
O 5.406 8.015 4.585
O 5.386 1.665 0.030
O 5.498 5.816 0.182
O 5.543 3.008 5.087
O 5.558 7.917 1.632
O 6.026 11.346 7.715
O 6.228 4.854 3.511
O 7.240 9.759 3.107
O 7.679 5.334 6.164
O 7.773 7.623 7.294
O 7.989 1.307 0.779
O 8.193 6.009 2.068
O 8.255 7.417 4.832
O 8.369 2.661 6.079
O 8.405 2.773 2.759
```

* crystal system: triclinic
* V: 712.2 Å³ per cell
* ΔE_f: -2.8176 eV per atom

=====

[3]
Crystalline SrMnZnP2O8 at its relaxed geometry. Source: the Materials Project database, functional PBE with a Hubbard U.

Structure (extended XYZ):
```
52
Lattice="1.408 -0.516 6.877 -1.227 10.688 2.612 -7.318 -4.523 4.147" Properties=species:S:1:pos:R:3 pbc="T T T"
P -5.071 -0.433 5.535
O -2.873 7.389 7.801
Mn -4.881 7.661 6.749
P -2.066 6.082 8.100
O -0.756 4.192 3.981
O -5.768 -3.887 8.349
O 0.011 1.062 7.060
O -0.603 6.406 8.365
O -3.172 3.654 4.250
O -5.582 5.921 8.055
O -7.148 4.587 6.576
Sr 0.223 3.687 6.412
Zn -4.702 5.514 9.852
P -5.251 2.291 10.278
Sr -6.746 -3.383 5.918
O -2.559 -1.690 2.945
O -4.970 5.677 5.657
P -5.684 4.911 6.841
O -1.369 9.536 5.287
Sr -7.360 1.962 7.223
P -1.886 3.357 3.358
O -6.329 2.375 4.842
Zn -4.089 0.170 8.547
O -0.808 3.274 8.794
O -5.715 -2.969 3.536
O -1.536 1.835 3.386
Zn -3.048 5.479 5.089
P -4.637 -3.052 8.972
O -3.965 1.995 9.385
Sr -0.390 9.031 7.718
O -1.554 -0.272 5.581
P -2.500 8.701 4.664
O -5.601 3.814 10.250
O -2.150 7.178 4.691
O -6.381 1.457 9.654
O -4.969 0.577 6.749
Mn -2.256 -2.013 6.886
O -2.168 5.072 6.887
O -2.260 2.045 6.495
O -1.422 8.617 10.100
O -6.534 -0.757 5.270
O -2.167 -0.029 7.979
O -4.357 0.333 4.351
Mn -2.869 3.332 8.193
Zn -2.434 0.135 3.783
Mn -4.268 2.317 5.443
O -4.877 3.604 7.141
O -4.987 -1.530 8.944
O -4.578 7.339 10.691
O -4.264 -1.740 5.835
O -2.780 5.315 9.284
P -1.452 0.738 6.794
```

* V: 662.4 Å³ per cell
* ΔE_f: -2.7449 eV per atom

=====

[4]
Crystalline Mn3VTe2P6O24 at its relaxed geometry. Source: the Materials Project database, functional PBE with a Hubbard U.

Structure (extended XYZ):
```
36
Lattice="4.429 2.557 7.250 -4.429 2.557 7.250 0.000 -5.114 7.250" Properties=species:S:1:pos:R:3 pbc="T T T"
Mn 0.000 0.000 0.000
Mn 0.000 0.000 4.097
Mn 0.000 0.000 15.103
V 0.000 0.000 10.762
Te 0.000 0.000 7.207
Te 0.000 0.000 18.249
P -3.053 0.229 9.477
P -1.307 -2.236 13.022
P 1.328 -2.759 9.477
P -1.283 2.250 13.022
P 1.725 2.530 9.477
P 2.590 -0.014 13.022
O -3.416 0.899 8.172
O -0.853 -1.239 5.885
O -2.817 -2.467 12.772
O -3.520 0.877 10.754
O 0.929 -3.408 8.172
O -1.489 0.004 9.457
O -0.647 1.359 5.885
O -0.707 -1.528 11.785
O 1.000 -3.487 10.754
O 1.500 -0.119 5.885
O 0.742 -1.292 9.457
O -0.978 -1.615 14.338
O -0.969 1.376 11.785
O 0.748 1.288 9.457
O -1.496 0.029 16.810
O -0.910 1.654 14.338
O 1.677 0.151 11.785
O -0.727 3.673 12.772
O 0.723 -1.310 16.810
O 2.487 2.509 8.172
O 1.888 -0.039 14.338
O 3.545 -1.207 12.772
O 0.773 1.281 16.810
O 2.520 2.609 10.754
```

* crystal system: trigonal
* V: 492.6 Å³ per cell
* ΔE_f: -2.3360 eV per atom

=====

[5]
Crystalline TiMn5P6O24 at its relaxed geometry. Source: the Materials Project database, functional PBE with a Hubbard U.

Structure (extended XYZ):
```
36
Lattice="8.491 0.000 0.000 -0.017 8.556 0.000 -4.150 -4.274 6.256" Properties=species:S:1:pos:R:3 pbc="T T T"
Ti 0.000 0.000 0.000
Mn 0.722 4.270 3.601
Mn 2.488 -0.021 1.813
Mn 0.144 -0.009 6.228
Mn 4.966 -0.024 3.644
Mn 6.738 4.239 1.811
P -0.475 -1.274 3.086
P -1.687 2.464 4.941
P 1.261 3.025 0.557
P 5.404 1.230 0.433
P 2.523 1.777 4.902
P 3.782 5.520 3.169
O 6.536 -0.895 2.940
O -2.708 1.642 4.152
O -3.573 -0.797 5.543
O -0.504 5.704 2.937
O -1.030 3.354 3.818
O 0.386 3.664 1.711
O 0.354 -0.729 1.868
O -2.347 3.438 5.967
O 1.186 1.468 0.760
O 0.208 -0.803 4.339
O -0.695 1.652 5.769
O 2.741 3.380 0.688
O 0.689 -3.447 5.321
O 1.482 2.595 4.134
O 2.325 5.072 2.950
O 4.500 0.631 1.516
O 3.171 0.863 3.825
O 3.763 -1.484 2.986
O 5.510 2.786 0.600
O 1.913 0.920 6.051
O 4.739 4.873 2.162
O 6.868 0.741 0.602
O 3.560 2.676 5.604
O 4.272 5.154 4.594
```

* crystal system: triclinic
* V: 454.5 Å³ per cell
* ΔE_f: -2.5576 eV per atom

=====

[6]
Crystalline Ti4MnP6O24 at its relaxed geometry. Source: the Materials Project database, functional PBE with a Hubbard U.

Structure (extended XYZ):
```
35
Lattice="4.325 2.497 7.108 -4.325 2.497 7.108 0.000 -4.994 7.108" Properties=species:S:1:pos:R:3 pbc="T T T"
Ti 0.000 0.000 2.865
Ti 0.000 0.000 7.514
Ti 0.000 0.000 13.810
Ti 0.000 0.000 18.458
Mn 0.000 0.000 10.662
P -3.034 -0.382 8.961
P -1.187 -2.819 12.362
P 1.848 -2.437 8.961
P -1.848 2.437 12.362
P 1.187 2.819 8.961
P 3.034 0.382 12.362
O -3.367 -1.212 10.192
O -3.726 0.988 8.941
O -2.719 -2.732 12.383
O -0.836 -1.375 6.549
O -0.634 -3.522 11.132
O -1.489 -0.179 8.947
O 1.007 -3.721 8.941
O -0.773 1.411 6.549
O -2.733 2.310 11.132
O -0.590 -1.379 12.377
O 0.899 -1.200 8.947
O 1.609 -0.036 6.549
O -1.609 0.036 14.775
O -0.899 1.200 12.377
O 0.590 1.379 8.947
O 2.733 -2.310 10.192
O 0.773 -1.411 14.775
O -1.007 3.721 12.383
O 1.489 0.179 12.377
O 0.634 3.522 10.192
O 0.836 1.375 14.775
O 2.719 2.732 8.941
O 3.726 -0.988 12.383
O 3.367 1.212 11.132
```

* crystal system: trigonal
* V: 460.5 Å³ per cell
* ΔE_f: -2.9923 eV per atom

=====

[7]
Crystalline TiMn5P6O24 at its relaxed geometry. Source: the Materials Project database, functional PBE with a Hubbard U.

Structure (extended XYZ):
```
36
Lattice="4.312 2.489 7.063 -4.312 2.489 7.063 0.000 -4.979 7.063" Properties=species:S:1:pos:R:3 pbc="T T T"
Ti 0.000 0.000 0.000
Mn 0.000 0.000 4.469
Mn 0.000 0.000 7.511
Mn 0.000 0.000 10.580
Mn 0.000 0.000 15.052
Mn 0.000 0.000 18.111
P -1.271 -2.793 9.302
P -2.510 0.008 12.819
P -1.783 2.497 9.302
P 1.249 -2.178 12.819
P 3.054 0.296 9.302
P 1.262 2.170 12.819
O -0.825 -3.584 8.044
O -1.502 -0.150 5.870
O -3.439 -1.259 12.757
O -0.906 -3.517 10.588
O -2.691 2.506 8.044
O -0.609 -1.397 9.145
O 0.880 -1.226 5.870
O -1.708 -0.034 11.527
O -2.593 2.543 10.588
O -0.905 1.226 9.145
O 0.621 1.375 5.870
O -1.688 0.048 14.107
O 0.883 -1.462 11.527
O -0.881 -1.214 16.438
O 1.514 0.171 9.145
O 0.802 -1.486 14.107
O 0.825 1.496 11.527
O 2.809 -2.349 12.757
O -0.611 1.369 16.438
O 3.516 1.077 8.044
O 0.886 1.438 14.107
O 0.629 3.607 12.757
O 1.492 -0.156 16.438
O 3.499 0.974 10.588
```

* crystal system: trigonal
* V: 454.8 Å³ per cell
* ΔE_f: -2.5481 eV per atom

=====

[8]
Crystalline TiMn7P12O48 at its relaxed geometry. Source: the Materials Project database, functional PBE with a Hubbard U.

Structure (extended XYZ):
```
68
Lattice="8.487 0.000 0.000 -0.003 8.500 0.000 -0.011 -0.009 11.825" Properties=species:S:1:pos:R:3 pbc="T T T"
Ti 0.000 0.000 0.000
Mn -0.007 4.236 8.756
Mn 0.583 -0.001 5.961
Mn 0.587 4.249 2.855
Mn 4.226 -0.002 8.751
Mn 4.242 4.247 0.064
Mn 4.823 8.494 2.851
Mn 4.823 4.241 5.973
P 1.214 1.232 9.026
P 1.214 5.412 11.558
P 2.404 6.066 7.361
P 2.444 1.835 1.472
P 3.609 1.209 5.645
P 3.611 5.465 3.170
P 5.386 7.269 11.549
P 5.449 3.023 9.078
P 6.633 2.458 1.478
P 6.647 6.674 7.369
P 7.844 7.262 3.186
P 7.850 3.027 5.648
O 0.183 4.792 10.588
O 0.214 0.613 10.021
O 0.384 7.870 4.167
O 0.399 3.640 4.674
O 0.817 4.986 1.138
O 0.829 0.777 7.628
O 1.100 6.943 11.414
O 1.155 2.768 9.184
O 1.484 6.885 6.449
O 1.520 2.654 2.384
O 1.621 0.921 0.545
O 1.624 5.146 8.321
O 2.170 0.823 5.273
O 2.168 5.088 3.534
O 2.651 0.841 9.405
O 2.653 5.028 11.203
O 3.178 5.130 6.406
O 3.199 0.902 2.438
O 3.329 6.883 8.269
O 3.359 2.645 0.554
O 3.689 2.751 5.489
O 3.689 7.005 3.331
O 4.010 5.017 1.770
O 4.014 0.761 7.043
O 4.357 7.886 10.576
O 4.422 3.627 10.064
O 4.638 4.848 4.150
O 4.645 0.592 4.676
O 5.011 7.728 1.132
O 5.043 3.474 7.681
O 5.320 5.730 11.394
O 5.361 1.482 9.241
O 5.712 1.630 2.384
O 5.728 5.856 6.453
O 5.874 3.391 0.514
O 5.868 7.604 8.326
O 6.405 3.404 5.289
O 6.399 7.648 3.537
O 6.833 7.654 11.221
O 6.894 3.398 9.436
O 7.423 3.375 2.433
O 7.424 7.609 6.417
O 7.531 1.597 0.584
O 7.562 5.851 8.282
O 7.938 1.487 5.474
O 7.937 5.723 3.359
O 8.245 3.477 7.047
O 8.245 7.730 1.792
```

* crystal system: triclinic
* V: 853.0 Å³ per cell
* ΔE_f: -2.2833 eV per atom